{"formula": "Zn3Co2Si3O12", "functional": "PBE with a Hubbard U", "state": "relaxed", "cell": [[-5.808, 5.808, 5.808], [5.808, -5.808, 5.808], [5.808, 5.808, -5.808]], "species": ["Zn", "Zn", "Zn", "Zn", "Zn", "Zn", "Zn", "Zn", "Zn", "Zn", "Zn", "Zn", "Co", "Co", "Co", "Co", "Co", "Co", "Co", "Co", "Si", "Si", "Si", "Si", "Si", "Si", "Si", "Si", "Si", "Si", "Si", "Si", "O", "O", "O", "O", "O", "O", "O", "O", "O", "O", "O", "O", "O", "O", "O", "O", "O", "O", "O", "O", "O", "O", "O", "O", "O", "O", "O", "O", "O", "O", "O", "O", "O", "O", "O", "O", "O", "O", "O", "O", "O", "O", "O", "O", "O", "O", "O", "O"], "frac_coords": [[0.125, 0.250, 0.375], [0.125, 0.375, 0.750], [0.250, 0.375, 0.125], [0.250, 0.875, 0.625], [0.375, 0.125, 0.250], [0.375, 0.750, 0.125], [0.625, 0.250, 0.875], [0.625, 0.875, 0.750], [0.750, 0.125, 0.375], [0.750, 0.625, 0.875], [0.875, 0.625, 0.250], [0.875, 0.750, 0.625], [0.000, 0.000, 0.000], [0.000, 0.000, 0.500], [0.000, 0.500, 0.000], [0.000, 0.500, 0.500], [0.500, 0.000, 0.000], [0.500, 0.000, 0.500], [0.500, 0.500, 0.000], [0.500, 0.500, 0.500], [0.125, 0.750, 0.875], [0.125, 0.875, 0.250], [0.250, 0.125, 0.875], [0.250, 0.625, 0.375], [0.375, 0.250, 0.625], [0.375, 0.625, 0.750], [0.625, 0.375, 0.250], [0.625, 0.750, 0.375], [0.750, 0.375, 0.625], [0.750, 0.875, 0.125], [0.875, 0.125, 0.750], [0.875, 0.250, 0.125], [0.018, 0.204, 0.121], [0.018, 0.314, 0.896], [0.082, 0.704, 0.686], [0.082, 0.879, 0.396], [0.104, 0.621, 0.418], [0.104, 0.982, 0.686], [0.121, 0.018, 0.204], [0.121, 0.604, 0.918], [0.186, 0.204, 0.582], [0.186, 0.482, 0.604], [0.204, 0.121, 0.018], [0.204, 0.582, 0.186], [0.296, 0.314, 0.918], [0.296, 0.482, 0.379], [0.314, 0.896, 0.018], [0.314, 0.918, 0.296], [0.379, 0.296, 0.482], [0.379, 0.582, 0.896], [0.396, 0.082, 0.879], [0.396, 0.814, 0.518], [0.418, 0.104, 0.621], [0.418, 0.814, 0.796], [0.482, 0.379, 0.296], [0.482, 0.604, 0.186], [0.518, 0.396, 0.814], [0.518, 0.621, 0.704], [0.582, 0.186, 0.204], [0.582, 0.896, 0.379], [0.604, 0.186, 0.482], [0.604, 0.918, 0.121], [0.621, 0.418, 0.104], [0.621, 0.704, 0.518], [0.686, 0.082, 0.704], [0.686, 0.104, 0.982], [0.704, 0.518, 0.621], [0.704, 0.686, 0.082], [0.796, 0.418, 0.814], [0.796, 0.879, 0.982], [0.814, 0.518, 0.396], [0.814, 0.796, 0.418], [0.879, 0.396, 0.082], [0.879, 0.982, 0.796], [0.896, 0.018, 0.314], [0.896, 0.379, 0.582], [0.918, 0.121, 0.604], [0.918, 0.296, 0.314], [0.982, 0.686, 0.104], [0.982, 0.796, 0.879]], "formation_energy_ev_per_fu": -44.03, "total_magnetization_mub_per_fu": 0.0}


{"formula": "Li3Mn2SnO6", "functional": "PBE with a Hubbard U", "state": "relaxed", "cell": [[6.086, 0.000, 0.000], [0.004, 6.161, 0.000], [1.426, 1.510, 6.666]], "species": ["Li", "Li", "Li", "Li", "Li", "Li", "Mn", "Mn", "Mn", "Mn", "Sn", "Sn", "O", "O", "O", "O", "O", "O", "O", "O", "O", "O", "O", "O"], "frac_coords": [[0.000, 0.000, 0.000], [0.000, 0.500, 0.000], [0.312, 0.334, 0.664], [0.325, 0.836, 0.668], [0.675, 0.164, 0.332], [0.688, 0.666, 0.336], [0.152, 0.167, 0.337], [0.155, 0.669, 0.344], [0.845, 0.331, 0.656], [0.848, 0.833, 0.663], [0.500, 0.000, 0.000], [0.500, 0.500, 0.000], [0.070, 0.601, 0.670], [0.073, 0.060, 0.670], [0.264, 0.749, 0.001], [0.270, 0.257, 0.976], [0.398, 0.401, 0.317], [0.400, 0.947, 0.311], [0.600, 0.053, 0.689], [0.602, 0.599, 0.683], [0.730, 0.743, 0.024], [0.736, 0.251, 0.999], [0.927, 0.940, 0.330], [0.930, 0.399, 0.330]], "formation_energy_ev_per_fu": -25.42, "relative_energy_mev_per_atom": 2, "total_magnetization_mub_per_fu": 1.0}


{"formula": "CrWO4", "functional": "PBE with a Hubbard U", "state": "relaxed", "cell": [[4.718, -2.970, 0.000], [4.718, 2.970, 0.000], [-0.166, 0.000, 4.734]], "species": ["Cr", "Cr", "W", "W", "O", "O", "O", "O", "O", "O", "O", "O"], "frac_coords": [[0.000, 0.000, 0.000], [0.519, 0.519, 0.981], [0.031, 0.488, 0.491], [0.488, 0.031, 0.491], [0.148, 0.148, 0.706], [0.165, 0.651, 0.787], [0.356, 0.867, 0.194], [0.372, 0.372, 0.275], [0.651, 0.165, 0.787], [0.667, 0.667, 0.681], [0.853, 0.853, 0.301], [0.867, 0.356, 0.194]], "formation_energy_ev_per_fu": -13.17, "relative_energy_mev_per_atom": 86, "total_magnetization_mub_per_fu": 0.0}


Total energy per entry: -6.308, -6.309, -7.731 eV/atom